Arrangement i

A relaxed LaZnCrWO6 crystal. Source: the Materials Project, functional PBE with a Hubbard U.

Unit cell a=5.697 b=5.449 c=9.514 alpha=55.92 beta=90.00 gamma=90.00
Sites, in units of the cell vectors:
La (0.289, 0.766, 0.247)
La (0.711, 0.766, 0.747)
Zn (0.728, 0.252, 0.244)
Zn (0.272, 0.252, 0.744)
Cr (0.247, 0.001, 0.500)
Cr (0.753, 0.001, 0.000)
W (0.235, 0.499, 0.000)
W (0.765, 0.499, 0.500)
O (0.776, 0.338, 0.754)
O (0.025, 0.140, 0.064)
O (0.053, 0.750, 0.453)
O (0.551, 0.255, 0.055)
O (0.557, 0.878, 0.435)
O (0.277, 0.618, 0.750)
O (0.224, 0.338, 0.254)
O (0.975, 0.140, 0.564)
O (0.947, 0.750, 0.953)
O (0.449, 0.255, 0.555)
O (0.443, 0.878, 0.935)
O (0.723, 0.618, 0.250)

Computed properties:
As for the space group: No. 7.

=====

Arrangement ii

A relaxed LaZnCrWO6 crystal. Source: the Materials Project, functional PBE with a Hubbard U.

Unit cell a=5.646 b=5.646 c=5.646 alpha=60.00 beta=60.00 gamma=60.00
Sites, in units of the cell vectors:
La (0.750, 0.750, 0.750)
Zn (0.000, 0.000, 0.000)
Cr (0.250, 0.250, 0.250)
W (0.500, 0.500, 0.500)
O (0.743, 0.257, 0.257)
O (0.257, 0.743, 0.743)
O (0.743, 0.257, 0.743)
O (0.257, 0.743, 0.257)
O (0.743, 0.743, 0.257)
O (0.257, 0.257, 0.743)

Computed properties:
As for the space group: No. 216.

=====

Energy relative to the most stable one, in eV/atom: arrangement i 0.000; arrangement ii 0.260

=====

Arrangement i

A relaxed LiMg6CrO8 crystal. Source: the Materials Project, functional PBE with a Hubbard U.

Unit cell a=8.605 b=4.213 c=4.213 alpha=90.00 beta=90.00 gamma=90.00
Sites, in units of the cell vectors:
Li (0.000, 0.000, 0.000)
Mg (0.000, 0.500, 0.500)
Mg (0.500, 0.500, 0.500)
Mg (0.236, 0.000, 0.500)
Mg (0.764, 0.000, 0.500)
Mg (0.236, 0.500, 0.000)
Mg (0.764, 0.500, 0.000)
Cr (0.500, 0.000, 0.000)
O (0.269, 0.000, 0.000)
O (0.731, 0.000, 0.000)
O (0.254, 0.500, 0.500)
O (0.746, 0.500, 0.500)
O (0.000, 0.000, 0.500)
O (0.500, 0.000, 0.500)
O (0.000, 0.500, 0.000)
O (0.500, 0.500, 0.000)

Computed properties:
As for the space group: No. 123.

=====

Arrangement ii

A relaxed LiMg6CrO8 crystal. Source: the Materials Project, functional PBE with a Hubbard U.

Unit cell a=8.567 b=4.204 c=4.204 alpha=90.00 beta=90.00 gamma=90.00
Sites, in units of the cell vectors:
Li (0.000, 0.000, 0.000)
Mg (0.500, 0.000, 0.000)
Mg (0.500, 0.500, 0.500)
Mg (0.246, 0.000, 0.500)
Mg (0.754, 0.000, 0.500)
Mg (0.246, 0.500, 0.000)
Mg (0.754, 0.500, 0.000)
Cr (0.000, 0.500, 0.500)
O (0.257, 0.000, 0.000)
O (0.743, 0.000, 0.000)
O (0.239, 0.500, 0.500)
O (0.761, 0.500, 0.500)
O (0.000, 0.000, 0.500)
O (0.500, 0.000, 0.500)
O (0.000, 0.500, 0.000)
O (0.500, 0.500, 0.000)

Computed properties:
As for the space group: No. 123.

=====

Energy relative to the most stable one, in eV/atom: arrangement i 0.008; arrangement ii 0.000

=====

Arrangement i

A relaxed Li2MnCrO4 crystal. Source: the Materials Project, functional PBE with a Hubbard U.

Unit cell a=5.274 b=5.274 c=5.274 alpha=134.25 beta=134.25 gamma=66.70
Sites, in units of the cell vectors:
Li (0.250, 0.750, 0.500)
Li (0.500, 0.500, 0.000)
Mn (0.000, 0.000, 0.000)
Cr (0.750, 0.250, 0.500)
O (0.520, 0.020, 0.500)
O (0.230, 0.230, 0.000)
O (0.980, 0.480, 0.500)
O (0.770, 0.770, 0.000)

Computed properties:
As for the space group: No. 119.

=====

Arrangement ii

A relaxed Li2MnCrO4 crystal. Source: the Materials Project, functional PBE with a Hubbard U.

Unit cell a=5.850 b=6.010 c=5.906 alpha=60.74 beta=90.00 gamma=119.12
Sites, in units of the cell vectors:
Li (0.500, 0.000, 0.000)
Li (0.000, 0.000, 0.000)
Li (0.500, 0.500, 0.500)
Li (0.000, 0.500, 0.500)
Mn (0.000, 0.500, 0.000)
Mn (0.500, 0.500, 0.000)
Cr (0.000, 0.000, 0.500)
Cr (0.500, 0.000, 0.500)
O (0.737, 0.474, 0.239)
O (0.237, 0.474, 0.239)
O (0.263, 0.526, 0.761)
O (0.763, 0.526, 0.761)
O (0.755, 0.011, 0.731)
O (0.256, 0.011, 0.730)
O (0.245, 0.989, 0.269)
O (0.744, 0.989, 0.270)

=====

Energy relative to the most stable one, in eV/atom: arrangement i 0.011; arrangement ii 0.000

=====

Arrangement i

A relaxed Li2MnCrO4 crystal. Source: the Materials Project, functional PBE with a Hubbard U.

Unit cell a=5.209 b=5.840 c=5.209 alpha=90.02 beta=68.18 gamma=89.91
Sites, in units of the cell vectors:
Li (0.497, 0.250, 0.003)
Li (0.003, 0.750, 0.497)
Li (0.500, 0.001, 0.500)
Li (0.000, 0.499, 0.000)
Mn (0.996, 0.999, 0.995)
Mn (0.505, 0.501, 0.504)
Cr (0.502, 0.750, 0.999)
Cr (0.000, 0.250, 0.500)
O (0.755, 0.264, 0.280)
O (0.280, 0.736, 0.755)
O (0.220, 0.236, 0.745)
O (0.745, 0.764, 0.220)
O (0.229, 0.001, 0.230)
O (0.735, 0.500, 0.736)
O (0.270, 0.500, 0.271)
O (0.764, 0.000, 0.765)

Computed properties:
As for the space group: No. 1.

=====

Arrangement ii

A relaxed Li2MnCrO4 crystal. Source: the Materials Project, functional PBE with a Hubbard U.

Unit cell a=4.117 b=7.820 c=5.216 alpha=92.60 beta=113.24 gamma=105.26
Sites, in units of the cell vectors:
Li (0.626, 0.875, 0.376)
Li (0.124, 0.375, 0.873)
Li (0.252, 0.751, 0.753)
Li (0.747, 0.250, 0.245)
Mn (0.002, 0.998, 0.005)
Mn (0.499, 0.502, 0.496)
Cr (0.874, 0.625, 0.122)
Cr (0.376, 0.125, 0.627)
O (0.249, 0.230, 0.268)
O (0.768, 0.752, 0.784)
O (0.492, 0.009, 0.976)
O (0.991, 0.509, 0.472)
O (0.117, 0.883, 0.351)
O (0.616, 0.382, 0.850)
O (0.886, 0.114, 0.658)
O (0.381, 0.618, 0.144)

Computed properties:
As for the space group: No. 8.

=====

Arrangement iii

A relaxed Li2MnCrO4 crystal. Source: the Materials Project, functional PBE with a Hubbard U.

Unit cell a=5.838 b=5.838 c=6.001 alpha=61.29 beta=61.29 gamma=89.96
Sites, in units of the cell vectors:
Li (0.500, 0.000, 0.500)
Li (0.500, 0.000, 0.000)
Li (0.000, 0.000, 0.500)
Li (0.500, 0.500, 0.000)
Mn (0.000, 0.000, 0.000)
Mn (0.500, 0.500, 0.500)
Cr (0.000, 0.500, 0.000)
Cr (0.000, 0.500, 0.500)
O (0.219, 0.739, 0.033)
O (0.761, 0.281, 0.467)
O (0.239, 0.719, 0.533)
O (0.781, 0.261, 0.967)
O (0.735, 0.724, 0.514)
O (0.776, 0.765, 0.986)
O (0.224, 0.235, 0.014)
O (0.265, 0.276, 0.486)

Computed properties:
As for the space group: No. 15.

=====

Energy relative to the most stable one, in eV/atom: arrangement i 0.010; arrangement ii 0.020; arrangement iii 0.000